#w
NaBeSi3O8 after structural relaxation, computed with PBE-GGA.

Unit cell a=7.3240 b=7.3240 c=15.5146 alpha=103.84 beta=103.84 gamma=54.92
Atoms (fractional coordinates):
1 Na 0.0545 0.1251 0.1094
2 Na 0.1251 0.0545 0.6094
3 Na 0.8749 0.9455 0.3906
4 Na 0.9455 0.8749 0.8906
5 Be 0.1963 0.3534 0.2428
6 Be 0.3534 0.1963 0.7428
7 Be 0.6466 0.8037 0.2572
8 Be 0.8037 0.6466 0.7572
9 Si 0.0060 0.3363 0.9080
10 Si 0.0936 0.6066 0.6574
11 Si 0.3363 0.0060 0.4080
12 Si 0.3934 0.9063 0.8426
13 Si 0.4408 0.5292 0.3935
14 Si 0.4708 0.5592 0.1065
15 Si 0.5292 0.4408 0.8935
16 Si 0.5592 0.4708 0.6065
17 Si 0.6066 0.0937 0.1574
18 Si 0.6637 0.9940 0.5920
19 Si 0.9064 0.3934 0.3426
20 Si 0.9940 0.6637 0.0920
21 O 0.0000 0.5000 0.0000
22 O 0.0350 0.5465 0.1764
23 O 0.0393 0.2614 0.2548
24 O 0.0932 0.2451 0.4236
25 O 0.1732 0.3469 0.6592
26 O 0.1905 0.7164 0.1020
27 O 0.2451 0.0932 0.9236
28 O 0.2614 0.0393 0.7548
29 O 0.2836 0.8095 0.3980
30 O 0.3036 0.4268 0.3340
31 O 0.3182 0.5939 0.6461
32 O 0.3469 0.1732 0.1592
33 O 0.4061 0.6818 0.8539
34 O 0.4268 0.3036 0.8340
35 O 0.4535 0.9650 0.3236
36 O 0.5000 0.0000 0.5000
37 O 0.5000 0.5000 0.0000
38 O 0.5000 0.5000 0.5000
39 O 0.5465 0.0350 0.6764
40 O 0.5732 0.6964 0.1660
41 O 0.5939 0.3182 0.1461
42 O 0.6531 0.8268 0.8408
43 O 0.6818 0.4061 0.3539
44 O 0.6964 0.5732 0.6660
45 O 0.7164 0.1905 0.6020
46 O 0.7386 0.9607 0.2452
47 O 0.7549 0.9068 0.0764
48 O 0.8095 0.2836 0.8980
49 O 0.8268 0.6531 0.3408
50 O 0.9068 0.7549 0.5764
51 O 0.9607 0.7386 0.7452
52 O 0.9650 0.4535 0.8236

Summary:
- total magnetic moment (μB/f.u.) = 1.0

#x
NaBeSi3O8 after structural relaxation, computed with PBE-GGA.

Unit cell a=16.8569 b=16.1805 c=9.0370 alpha=90.00 beta=90.00 gamma=90.00
Atoms (fractional coordinates):
1 Na 0.0000 0.0000 0.0000
2 Na 0.0000 0.0000 0.5000
3 Na 0.0000 0.5000 0.0000
4 Na 0.0000 0.5000 0.5000
5 Na 0.5000 0.0000 0.0000
6 Na 0.5000 0.0000 0.5000
7 Na 0.5000 0.5000 0.0000
8 Na 0.5000 0.5000 0.5000
9 Be 0.1436 0.1569 0.1115
10 Be 0.1436 0.3431 0.1115
11 Be 0.3564 0.6569 0.6115
12 Be 0.3564 0.8431 0.6115
13 Be 0.6436 0.1569 0.3885
14 Be 0.6436 0.3431 0.3885
15 Be 0.8564 0.6569 0.8885
16 Be 0.8564 0.8431 0.8885
17 Si 0.0981 0.1784 0.5767
18 Si 0.0981 0.3216 0.5767
19 Si 0.1300 0.0625 0.8202
20 Si 0.1300 0.4375 0.8202
21 Si 0.2048 0.0358 0.3366
22 Si 0.2048 0.4642 0.3366
23 Si 0.2952 0.5358 0.8366
24 Si 0.2952 0.9642 0.8366
25 Si 0.3700 0.5625 0.3202
26 Si 0.3700 0.9375 0.3202
27 Si 0.4019 0.6784 0.0767
28 Si 0.4019 0.8216 0.0767
29 Si 0.5981 0.1784 0.9233
30 Si 0.5981 0.3216 0.9233
31 Si 0.6300 0.0625 0.6798
32 Si 0.6300 0.4375 0.6798
33 Si 0.7048 0.0358 0.1634
34 Si 0.7048 0.4642 0.1634
35 Si 0.7952 0.5358 0.6634
36 Si 0.7952 0.9642 0.6634
37 Si 0.8700 0.5625 0.1798
38 Si 0.8700 0.9375 0.1798
39 Si 0.9019 0.6784 0.4233
40 Si 0.9019 0.8216 0.4233
41 O 0.0338 0.1385 0.4794
42 O 0.0338 0.3615 0.4794
43 O 0.0507 0.0155 0.7697
44 O 0.0507 0.4845 0.7697
45 O 0.1161 0.1014 0.9834
46 O 0.1161 0.3986 0.9834
47 O 0.1306 0.2500 0.1143
48 O 0.1469 0.5055 0.4484
49 O 0.1469 0.9945 0.4484
50 O 0.1544 0.1398 0.7032
51 O 0.1544 0.3602 0.7032
52 O 0.1647 0.7500 0.8658
53 O 0.1878 0.1154 0.2420
54 O 0.1878 0.3846 0.2420
55 O 0.2068 0.5007 0.8205
56 O 0.2068 0.9993 0.8205
57 O 0.2932 0.0007 0.3205
58 O 0.2932 0.4993 0.3205
59 O 0.3122 0.6154 0.7420
60 O 0.3122 0.8846 0.7420
61 O 0.3353 0.2500 0.3658
62 O 0.3456 0.6398 0.2032
63 O 0.3456 0.8602 0.2032
64 O 0.3531 0.0055 0.9484
65 O 0.3531 0.4945 0.9484
66 O 0.3694 0.7500 0.6143
67 O 0.3839 0.6014 0.4834
68 O 0.3839 0.8986 0.4834
69 O 0.4493 0.5155 0.2697
70 O 0.4493 0.9845 0.2697
71 O 0.4662 0.6385 0.9794
72 O 0.4662 0.8615 0.9794
73 O 0.5338 0.1385 0.0206
74 O 0.5338 0.3615 0.0206
75 O 0.5507 0.0155 0.7303
76 O 0.5507 0.4845 0.7303
77 O 0.6161 0.1014 0.5166
78 O 0.6161 0.3986 0.5166
79 O 0.6306 0.2500 0.3857
80 O 0.6469 0.5055 0.0516
81 O 0.6469 0.9945 0.0516
82 O 0.6544 0.1398 0.7968
83 O 0.6544 0.3602 0.7968
84 O 0.6647 0.7500 0.6342
85 O 0.6878 0.1154 0.2580
86 O 0.6878 0.3846 0.2580
87 O 0.7068 0.5007 0.6795
88 O 0.7068 0.9993 0.6795
89 O 0.7932 0.0007 0.1795
90 O 0.7932 0.4993 0.1795
91 O 0.8122 0.6154 0.7580
92 O 0.8122 0.8846 0.7580
93 O 0.8353 0.2500 0.1342
94 O 0.8456 0.6398 0.2968
95 O 0.8456 0.8602 0.2968
96 O 0.8531 0.0055 0.5516
97 O 0.8531 0.4945 0.5516
98 O 0.8694 0.7500 0.8857
99 O 0.8839 0.6014 0.0166
100 O 0.8839 0.8986 0.0166
101 O 0.9493 0.5155 0.2303
102 O 0.9493 0.9845 0.2303
103 O 0.9662 0.6385 0.5206
104 O 0.9662 0.8615 0.5206

Summary:
- total magnetic moment (μB/f.u.) = 2.0

#y
NaBeSi3O8 after structural relaxation, computed with PBE-GGA.

Unit cell a=7.7605 b=7.7605 c=13.1150 alpha=101.80 beta=101.80 gamma=66.25
Atoms (fractional coordinates):
1 Na 0.0971 0.9029 0.7500
2 Na 0.3825 0.6175 0.2500
3 Na 0.6175 0.3825 0.7500
4 Na 0.9029 0.0971 0.2500
5 Be 0.0320 0.0980 0.0674
6 Be 0.0980 0.0320 0.5674
7 Be 0.9020 0.9680 0.4326
8 Be 0.9680 0.9020 0.9326
9 Si 0.0664 0.4137 0.2394
10 Si 0.0952 0.6792 0.1173
11 Si 0.3009 0.4461 0.6906
12 Si 0.3208 0.9048 0.3827
13 Si 0.4137 0.0664 0.7394
14 Si 0.4461 0.3009 0.1906
15 Si 0.5539 0.6991 0.8094
16 Si 0.5863 0.9336 0.2606
17 Si 0.6792 0.0952 0.6173
18 Si 0.6991 0.5539 0.3094
19 Si 0.9048 0.3208 0.8827
20 Si 0.9336 0.5863 0.7606
21 O 0.0056 0.4039 0.0009
22 O 0.0102 0.3879 0.8086
23 O 0.0381 0.8814 0.0559
24 O 0.0390 0.2297 0.1667
25 O 0.0688 0.5365 0.6630
26 O 0.1186 0.9619 0.4441
27 O 0.1562 0.8438 0.2500
28 O 0.2297 0.0390 0.6667
29 O 0.2973 0.3661 0.2796
30 O 0.3229 0.4610 0.1085
31 O 0.3636 0.6364 0.7500
32 O 0.3661 0.2973 0.7796
33 O 0.3879 0.0102 0.3086
34 O 0.4039 0.0056 0.5009
35 O 0.4610 0.3229 0.6085
36 O 0.4635 0.9312 0.8370
37 O 0.5365 0.0688 0.1630
38 O 0.5390 0.6771 0.3915
39 O 0.5961 0.9944 0.4991
40 O 0.6121 0.9898 0.6914
41 O 0.6339 0.7027 0.2204
42 O 0.6364 0.3636 0.2500
43 O 0.6771 0.5390 0.8915
44 O 0.7027 0.6339 0.7204
45 O 0.7703 0.9610 0.3333
46 O 0.8438 0.1562 0.7500
47 O 0.8814 0.0381 0.5559
48 O 0.9312 0.4635 0.3370
49 O 0.9610 0.7703 0.8333
50 O 0.9619 0.1186 0.9441
51 O 0.9898 0.6121 0.1914
52 O 0.9944 0.5961 0.9991

Summary:
- total magnetic moment (μB/f.u.) = 0.0

#z
NaBeSi3O8 after structural relaxation, computed with PBE-GGA.

Unit cell a=7.3666 b=7.3666 c=14.2078 alpha=101.91 beta=101.91 gamma=60.55
Atoms (fractional coordinates):
1 Na 0.1300 0.8131 0.5700
2 Na 0.1869 0.8700 0.9300
3 Na 0.8131 0.1300 0.0700
4 Na 0.8700 0.1869 0.4300
5 Be 0.0084 0.6536 0.0030
6 Be 0.3464 0.9916 0.4970
7 Be 0.6536 0.0084 0.5030
8 Be 0.9916 0.3464 0.9970
9 Si 0.1463 0.3495 0.6337
10 Si 0.2750 0.3158 0.8583
11 Si 0.3158 0.2750 0.3583
12 Si 0.3495 0.1463 0.1337
13 Si 0.3751 0.5657 0.1386
14 Si 0.4343 0.6249 0.3614
15 Si 0.5657 0.3751 0.6386
16 Si 0.6249 0.4343 0.8614
17 Si 0.6505 0.8537 0.8663
18 Si 0.6842 0.7250 0.6417
19 Si 0.7250 0.6842 0.1417
20 Si 0.8537 0.6505 0.3663
21 O 0.0690 0.9310 0.7500
22 O 0.0793 0.4399 0.3845
23 O 0.0952 0.4243 0.9298
24 O 0.1552 0.1547 0.0553
25 O 0.1547 0.1552 0.5553
26 O 0.1767 0.2979 0.7447
27 O 0.1905 0.7027 0.0617
28 O 0.2973 0.8095 0.4383
29 O 0.2979 0.1767 0.2447
30 O 0.3175 0.4267 0.6253
31 O 0.3263 0.6737 0.2500
32 O 0.3937 0.4609 0.8735
33 O 0.4243 0.0952 0.4298
34 O 0.4267 0.3175 0.1253
35 O 0.4399 0.0793 0.8845
36 O 0.4609 0.3937 0.3735
37 O 0.5391 0.6063 0.6265
38 O 0.5601 0.9207 0.1155
39 O 0.5733 0.6825 0.8747
40 O 0.5757 0.9048 0.5702
41 O 0.6063 0.5391 0.1265
42 O 0.6737 0.3263 0.7500
43 O 0.6825 0.5733 0.3747
44 O 0.7021 0.8233 0.7553
45 O 0.7027 0.1905 0.5617
46 O 0.8095 0.2973 0.9383
47 O 0.8233 0.7021 0.2553
48 O 0.8453 0.8448 0.4447
49 O 0.8448 0.8453 0.9447
50 O 0.9048 0.5757 0.0702
51 O 0.9207 0.5601 0.6155
52 O 0.9310 0.0690 0.2500

Summary:
- total magnetic moment (μB/f.u.) = 0.9

The most stable of them is #z.

#w
Na2BeSiO4 after structural relaxation, computed with PBE-GGA.

Unit cell a=9.9727 b=4.9879 c=14.2149 alpha=90.00 beta=90.00 gamma=90.00
Atoms (fractional coordinates):
1 Na 0.0070 0.0087 0.0000
2 Na 0.0080 0.5097 0.6148
3 Na 0.2201 0.0212 0.3281
4 Na 0.2352 0.5282 0.2055
5 Na 0.2648 0.5282 0.7055
6 Na 0.2799 0.0212 0.8281
7 Na 0.4920 0.5097 0.1148
8 Na 0.4930 0.0087 0.5000
9 Na 0.5070 0.9913 0.0000
10 Na 0.5080 0.4903 0.6148
11 Na 0.7201 0.9788 0.3281
12 Na 0.7352 0.4718 0.2055
13 Na 0.7648 0.4718 0.7055
14 Na 0.7799 0.9788 0.8281
15 Na 0.9920 0.4903 0.1148
16 Na 0.9930 0.9913 0.5000
17 Be 0.0160 0.0438 0.7247
18 Be 0.2339 0.0105 0.1160
19 Be 0.2661 0.0105 0.6160
20 Be 0.4840 0.0438 0.2247
21 Be 0.5160 0.9562 0.7247
22 Be 0.7339 0.9895 0.1160
23 Be 0.7661 0.9895 0.6160
24 Be 0.9840 0.9562 0.2247
25 Si 0.0120 0.5238 0.8503
26 Si 0.2366 0.5087 0.4823
27 Si 0.2634 0.5087 0.9823
28 Si 0.4880 0.5238 0.3503
29 Si 0.5120 0.4762 0.8503
30 Si 0.7366 0.4913 0.4823
31 Si 0.7634 0.4913 0.9823
32 Si 0.9880 0.4762 0.3503
33 O 0.0088 0.7947 0.3372
34 O 0.0115 0.2926 0.2584
35 O 0.0972 0.3709 0.4344
36 O 0.0996 0.8766 0.1527
37 O 0.1631 0.1156 0.6922
38 O 0.1665 0.6048 0.8912
39 O 0.1867 0.2774 0.0407
40 O 0.1876 0.7647 0.5429
41 O 0.3124 0.7647 0.0429
42 O 0.3133 0.2774 0.5407
43 O 0.3335 0.6048 0.3912
44 O 0.3369 0.1156 0.1922
45 O 0.4004 0.8766 0.6527
46 O 0.4028 0.3709 0.9344
47 O 0.4885 0.2926 0.7584
48 O 0.4912 0.7947 0.8372
49 O 0.5088 0.2053 0.3372
50 O 0.5115 0.7074 0.2584
51 O 0.5972 0.6291 0.4344
52 O 0.5996 0.1234 0.1527
53 O 0.6631 0.8844 0.6922
54 O 0.6665 0.3952 0.8912
55 O 0.6867 0.7226 0.0407
56 O 0.6876 0.2353 0.5429
57 O 0.8124 0.2353 0.0429
58 O 0.8133 0.7226 0.5407
59 O 0.8335 0.3952 0.3912
60 O 0.8369 0.8844 0.1922
61 O 0.9004 0.1234 0.6527
62 O 0.9028 0.6291 0.9344
63 O 0.9885 0.7074 0.7584
64 O 0.9912 0.2053 0.8372

Summary:
- total magnetic moment (μB/f.u.) = 0.0
- maximum piezoelectric response (C/m²) = 0.6

#x
Na2BeSiO4 after structural relaxation, computed with PBE-GGA.

Unit cell a=7.0842 b=5.0144 c=10.0329 alpha=90.00 beta=90.09 gamma=90.00
Atoms (fractional coordinates):
1 Na 0.0017 0.2081 0.3903
2 Na 0.0017 0.2919 0.8903
3 Na 0.2653 0.6815 0.3590
4 Na 0.2653 0.8185 0.8590
5 Na 0.7347 0.1815 0.1410
6 Na 0.7347 0.3185 0.6410
7 Na 0.9983 0.7081 0.1097
8 Na 0.9983 0.7919 0.6097
9 Be 0.4989 0.6583 0.0880
10 Be 0.4989 0.8417 0.5880
11 Be 0.5011 0.1583 0.4120
12 Be 0.5011 0.3417 0.9120
13 Si 0.2788 0.1561 0.1573
14 Si 0.2788 0.3439 0.6573
15 Si 0.7212 0.6561 0.3427
16 Si 0.7212 0.8439 0.8427
17 O 0.0607 0.2349 0.1245
18 O 0.0607 0.2651 0.6245
19 O 0.3158 0.6607 0.6194
20 O 0.3158 0.8393 0.1194
21 O 0.3193 0.2055 0.3180
22 O 0.3193 0.2945 0.8180
23 O 0.4371 0.1652 0.5737
24 O 0.4371 0.3348 0.0737
25 O 0.5629 0.6652 0.9263
26 O 0.5629 0.8348 0.4263
27 O 0.6807 0.7055 0.1820
28 O 0.6807 0.7945 0.6820
29 O 0.6842 0.1607 0.8806
30 O 0.6842 0.3393 0.3806
31 O 0.9393 0.7349 0.3755
32 O 0.9393 0.7651 0.8755

The most stable of them is #x.